(1)
DFT (PBE-GGA) results for a relaxed structure of KCeMg14O16.

Properties
Density ... 3702 kg/m³
V ... 348 Å³/f.u.
SG ... P4/mmm (123)
ΔE to the lowest computed polymorph ... 0 meV/atom
Energy ... -5.901 eV per atom

a b c (Å): 8.8081 8.8081 4.4840
angles (deg): 90.00 90.00 90.00
Atoms (fractional coordinates):
1 O 0.5000 0.7614 0.0000
2 O 0.5000 0.5000 0.5000
3 O 0.5000 0.0000 0.5000
4 O 0.7262 0.0000 0.0000
5 O 0.0000 0.0000 0.5000
6 O 0.5000 0.2386 0.0000
7 O 0.2511 0.2511 0.5000
8 O 0.0000 0.2738 0.0000
9 O 0.7614 0.5000 0.0000
10 O 0.2511 0.7489 0.5000
11 O 0.0000 0.5000 0.5000
12 O 0.2738 0.0000 0.0000
13 O 0.7489 0.7489 0.5000
14 O 0.7489 0.2511 0.5000
15 O 0.2386 0.5000 0.0000
16 O 0.0000 0.7262 0.0000
17 Mg 0.7601 0.2399 0.0000
18 Mg 0.0000 0.7520 0.5000
19 Mg 0.5000 0.7687 0.5000
20 Mg 0.2399 0.2399 0.0000
21 Mg 0.2480 0.0000 0.5000
22 Mg 0.7687 0.5000 0.5000
23 Mg 0.0000 0.2480 0.5000
24 Mg 0.7520 0.0000 0.5000
25 Mg 0.7601 0.7601 0.0000
26 Mg 0.2399 0.7601 0.0000
27 Mg 0.5000 0.2313 0.5000
28 Mg 0.0000 0.5000 0.0000
29 Mg 0.2313 0.5000 0.5000
30 Mg 0.5000 0.0000 0.0000
31 K 0.0000 0.0000 0.0000
32 Ce 0.5000 0.5000 0.0000

=====

(2)
DFT (PBE-GGA) results for a relaxed structure of ThUO4.

Properties
Density ... 10457 kg/m³
V ... 85 Å³/f.u.
SG ... P4/mmm (123)
Energy ... -9.969 eV per atom

a b c (Å): 3.9120 3.9120 5.5418
angles (deg): 90.00 90.00 90.00
Atoms (fractional coordinates):
1 O 0.5000 0.0000 0.2437
2 O 0.5000 0.0000 0.7563
3 O 0.0000 0.5000 0.7563
4 O 0.0000 0.5000 0.2437
5 Th 0.0000 0.0000 0.5000
6 U 0.5000 0.5000 0.0000

=====

(3)
DFT (PBE-GGA) results for a relaxed structure of NaDyO2.

Properties
Density ... 6470 kg/m³
V ... 56 Å³/f.u.
SG ... C2/c (15)
Energy ... -6.767 eV per atom

a b c (Å): 7.4384 7.4384 5.9823
angles (deg): 75.95 75.95 126.68
Atoms (fractional coordinates):
1 Na 0.0559 0.9441 0.2500
2 Na 0.1804 0.8196 0.7500
3 Na 0.8196 0.1804 0.2500
4 Na 0.9441 0.0559 0.7500
5 O 0.5404 0.9167 0.7921
6 O 0.7691 0.6423 0.7936
7 O 0.9167 0.5404 0.2921
8 O 0.4596 0.0833 0.2079
9 O 0.3577 0.2309 0.7064
10 O 0.0833 0.4596 0.7079
11 O 0.6423 0.7691 0.2936
12 O 0.2309 0.3577 0.2064
13 Dy 0.4328 0.5672 0.7500
14 Dy 0.5672 0.4328 0.2500
15 Dy 0.3069 0.6931 0.2500
16 Dy 0.6931 0.3069 0.7500

=====

(4)
DFT (PBE-GGA) results for a relaxed structure of Pr3PtBr3.

Properties
Density ... 6166 kg/m³
V ... 231 Å³/f.u.
SG ... I4_132 (214)
Energy ... -5.105 eV per atom

a b c (Å): 10.6266 10.6266 10.6266
angles (deg): 109.47 109.47 109.47
Atoms (fractional coordinates):
1 Pr 0.7500 0.0143 0.4857
2 Pr 0.2643 0.7500 0.2357
3 Pr 0.0143 0.0286 0.2643
4 Pr 0.2357 0.4714 0.4857
5 Pr 0.7500 0.2357 0.2643
6 Pr 0.0286 0.2643 0.0143
7 Pr 0.0143 0.4857 0.7500
8 Pr 0.4857 0.7500 0.0143
9 Pr 0.2643 0.0143 0.0286
10 Pr 0.4857 0.2357 0.4714
11 Pr 0.2357 0.2643 0.7500
12 Pr 0.4714 0.4857 0.2357
13 Br 0.2500 0.7544 0.7456
14 Br 0.5089 0.5044 0.7544
15 Br 0.5044 0.7544 0.5089
16 Br 0.7456 0.2500 0.7544
17 Br 0.9911 0.7456 0.9956
18 Br 0.9956 0.5044 0.2500
19 Br 0.7456 0.9956 0.9911
20 Br 0.2500 0.9956 0.5044
21 Br 0.7544 0.5089 0.5044
22 Br 0.5044 0.2500 0.9956
23 Br 0.9956 0.9911 0.7456
24 Br 0.7544 0.7456 0.2500
25 Pt 0.2500 0.5000 0.0000
26 Pt 0.0000 0.2500 0.5000
27 Pt 0.2500 0.2500 0.2500
28 Pt 0.5000 0.0000 0.2500

=====

(5)
DFT (PBE-GGA) results for a relaxed structure of La5In3Br.

Properties
Density ... 6401 kg/m³
V ... 290 Å³/f.u.
SG ... P6_3/mcm (193)
Energy ... -4.512 eV per atom

a b c (Å): 9.8047 9.8047 6.9733
angles (deg): 90.00 90.00 120.00
Atoms (fractional coordinates):
1 La 0.0000 0.7342 0.7500
2 La 0.0000 0.2658 0.2500
3 La 0.7342 0.0000 0.7500
4 La 0.3333 0.6667 0.5000
5 La 0.6667 0.3333 0.5000
6 La 0.6667 0.3333 0.0000
7 La 0.2658 0.0000 0.2500
8 La 0.3333 0.6667 0.0000
9 La 0.2658 0.2658 0.7500
10 La 0.7342 0.7342 0.2500
11 In 0.6083 0.0000 0.2500
12 In 0.3917 0.0000 0.7500
13 In 0.3917 0.3917 0.2500
14 In 0.6083 0.6083 0.7500
15 In 0.0000 0.6083 0.2500
16 In 0.0000 0.3917 0.7500
17 Br 0.0000 0.0000 0.5000
18 Br 0.0000 0.0000 0.0000

=====

(6)
DFT (PBE-GGA) results for a relaxed structure of YAl.

Properties
Density ... 3880 kg/m³
V ... 50 Å³/f.u.
SG ... Cmcm (63)
Energy ... -5.524 eV per atom

a b c (Å): 6.0834 6.0834 4.4826
angles (deg): 90.00 90.00 143.28
Atoms (fractional coordinates):
1 Y 0.6497 0.3503 0.7500
2 Y 0.3503 0.6497 0.2500
3 Al 0.0698 0.9302 0.2500
4 Al 0.9302 0.0698 0.7500

=====

(7)
DFT (PBE-GGA) results for a relaxed structure of Na2CaZr2Si10O27.

Properties
Density ... 2192 kg/m³
V ... 744 Å³/f.u.
SG ... C2/c (15)
ΔE to the lowest computed polymorph ... 0 meV/atom
Energy ... -7.669 eV per atom

a b c (Å): 9.3593 9.3593 19.0303
angles (deg): 98.02 98.02 112.80
Atoms (fractional coordinates):
1 O 0.1881 0.4825 0.8108
2 O 0.0744 0.7143 0.3142
3 O 0.2536 0.5336 0.4565
4 O 0.4592 0.1952 0.8089
5 O 0.7663 0.9781 0.6304
6 O 0.8595 0.3963 0.8288
7 O 0.0692 0.7401 0.8227
8 O 0.3963 0.8595 0.3288
9 O 0.9308 0.2599 0.1773
10 O 0.2857 0.9256 0.1858
11 O 0.6162 0.1415 0.1862
12 O 0.0354 0.2508 0.3819
13 O 0.5175 0.8119 0.6892
14 O 0.6950 0.1827 0.0590
15 O 0.1405 0.6037 0.1712
16 O 0.1415 0.6162 0.6862
17 O 0.5336 0.2536 0.9565
18 O 0.1952 0.4592 0.3089
19 O 0.8202 0.2682 0.9469
20 O 0.6677 0.6549 0.1104
21 O 0.8173 0.3050 0.4410
22 O 0.4664 0.7464 0.0435
23 O 0.7464 0.4664 0.5435
24 O 0.3050 0.8173 0.9410
25 O 0.2682 0.8202 0.4469
26 O 0.9256 0.2857 0.6858
27 O 0.2599 0.9308 0.6773
28 O 0.4825 0.7934 0.5443
29 O 0.7318 0.1798 0.5531
30 O 0.2066 0.5175 0.9557
31 O 0.9781 0.7663 0.1304
32 O 0.9646 0.7492 0.6181
33 O 0.0219 0.2337 0.8696
34 O 0.6549 0.6677 0.6104
35 O 0.5175 0.2066 0.4557
36 O 0.5305 0.4695 0.7500
37 O 0.8585 0.3838 0.3138
38 O 0.4695 0.5305 0.2500
39 O 0.8119 0.5175 0.1892
40 O 0.3323 0.3451 0.8896
41 O 0.5408 0.8048 0.1911
42 O 0.2508 0.0354 0.8819
43 O 0.2337 0.0219 0.3696
44 O 0.4825 0.1881 0.3108
45 O 0.3451 0.3323 0.3896
46 O 0.7143 0.0744 0.8142
47 O 0.7934 0.4825 0.0443
48 O 0.7492 0.9646 0.1181
49 O 0.3838 0.8585 0.8138
50 O 0.1798 0.7318 0.0531
51 O 0.7401 0.0692 0.3227
52 O 0.8048 0.5408 0.6911
53 O 0.1827 0.6950 0.5590
54 O 0.6037 0.1405 0.6712
55 Si 0.1448 0.7474 0.6373
56 Si 0.6020 0.8135 0.6198
57 Si 0.3980 0.1865 0.3802
58 Si 0.7916 0.6019 0.6161
59 Si 0.7112 0.2973 0.0014
60 Si 0.7573 0.1559 0.6369
61 Si 0.1559 0.7573 0.1369
62 Si 0.2973 0.7112 0.5014
63 Si 0.7027 0.2888 0.4986
64 Si 0.2526 0.8552 0.8627
65 Si 0.1865 0.3980 0.8802
66 Si 0.8441 0.2427 0.8631
67 Si 0.8135 0.6020 0.1198
68 Si 0.8552 0.2526 0.3627
69 Si 0.2084 0.3981 0.3839
70 Si 0.2888 0.7027 0.9986
71 Si 0.7474 0.1448 0.1373
72 Si 0.2427 0.8441 0.3631
73 Si 0.6019 0.7916 0.1161
74 Si 0.3981 0.2084 0.8839
75 Na 0.0505 0.0281 0.6535
76 Na 0.9495 0.9719 0.3465
77 Na 0.9719 0.9495 0.8465
78 Na 0.0281 0.0505 0.1535
79 Zr 0.5051 0.9752 0.2554
80 Zr 0.0248 0.4949 0.2446
81 Zr 0.4949 0.0248 0.7446
82 Zr 0.9752 0.5051 0.7554
83 Ca 0.6260 0.3740 0.2500
84 Ca 0.3740 0.6260 0.7500

=====

(8)
DFT (PBE-GGA) results for a relaxed structure of Ag2O.

Properties
Density ... 8615 kg/m³
V ... 45 Å³/f.u.
SG ... P-3m1 (164)
ΔE to the lowest computed polymorph ... 119 meV/atom
Energy ... -3.512 eV per atom

a b c (Å): 3.2155 3.2155 4.9885
angles (deg): 90.00 90.00 120.00
Atoms (fractional coordinates):
1 O 0.0000 0.0000 0.0000
2 Ag 0.3333 0.6667 0.7126
3 Ag 0.6667 0.3333 0.2874

=====

> Look up the density of the fifth one.

6401 kg/m³

=====

> Which of these has the highest density?

ThUO4